Below is an optimized crystal structure of ZrTe3, with properties calculated at the r²SCAN level.

Summary:
Magnetic moment: 0.0 μB per formula unit
SG: P2_1/m (11)
ΔH_f (0 K): -0.8233 eV/atom

Cell lengths 4.0169, 5.9552, 10.4776 Å; angles 82.54, 90.00, 90.00 degrees
With the nearest neighbours (Å) after each atom.
Fractional positions:
Zr 0.2500 0.7140 0.6595  8 Te 2.97-3.19
Te 0.2500 0.0964 0.1716  1 Te 2.76, 2 Zr 2.99
Zr 0.7500 0.2860 0.3405  8 Te 2.97-3.19
Te 0.2500 0.5582 0.1785  1 Te 2.76, 2 Zr 2.97
Te 0.2500 0.2375 0.5510  4 Zr 2.97-3.19
Te 0.7500 0.7625 0.4490  4 Zr 2.97-3.19
Te 0.7500 0.9036 0.8284  1 Te 2.76, 2 Zr 2.99
Te 0.7500 0.4418 0.8215  1 Te 2.76, 2 Zr 2.97